LaGe2Pt2 after structural relaxation. Source: the Materials Project, functional PBE.

Cell: 4.427 4.438 10.116 Å, 90.00 90.02 90.00°
Space group P2_1 (No. 4)
Asymmetric unit:
La: 0.249 0.000 0.247 [2 per cell]
Ge: 0.243 0.009 0.631 [2 per cell]
Ge: 0.252 0.491 0.999 [2 per cell]
Pt: 0.249 0.991 0.877 [2 per cell]
Pt: 0.258 0.511 0.501 [2 per cell]

Values from the calculation:
Calculated formation energy   -0.96 eV/atom
E_tot   -0.2286 hartree per atom